Computed, not measured: La5Sm3Ni7AgO20 after structural relaxation at the GGA+U level of DFT.

abc: 11.028 11.513 17.603
angles: 109.51 108.41 89.83
Sites, in units of the cell vectors:
O 0.369 0.614 0.482
Ni 0.855 0.404 0.749
Ni 0.360 0.403 0.749
Ni 0.505 0.999 0.500
La 0.946 0.202 0.389
O 0.350 0.109 0.969
O 0.389 0.389 0.025
O 0.424 0.068 0.750
O 0.848 0.109 0.970
O 0.386 0.386 0.516
Ag 0.496 0.000 0.002
O 0.586 0.109 0.638
La 0.696 0.435 0.390
La 0.435 0.696 0.887
O 0.136 0.382 0.518
La 0.941 0.198 0.885
O 0.886 0.387 0.517
O 0.148 0.385 0.032
Ni 0.606 0.097 0.749
O 0.349 0.777 0.140
O 0.179 0.438 0.252
O 0.356 0.274 0.138
Ni 0.501 0.497 0.001
O 0.390 0.884 0.519
O 0.119 0.619 0.484
Ni 0.253 0.750 0.003
La 0.445 0.703 0.389
O 0.472 0.865 0.846
Ni 0.005 0.501 0.500
O 0.673 0.433 0.247
Sm 0.300 0.067 0.114
O 0.209 0.724 0.864
O 0.451 0.392 0.861
O 0.111 0.626 0.975
La 0.948 0.704 0.390
Sm 0.554 0.300 0.112
La 0.055 0.302 0.115
Ag 0.747 0.749 0.003
O 0.634 0.879 0.519
Ni 0.750 0.252 0.000
Sm 0.187 0.935 0.887
O 0.597 0.612 0.139
Ag 0.001 0.500 0.000
O 0.853 0.602 0.961
O 0.179 0.437 0.750
Ni 0.754 0.750 0.499
La 0.056 0.296 0.609
O 0.136 0.882 0.518
O 0.963 0.366 0.845
O 0.581 0.609 0.636
O 0.885 0.895 0.033
La 0.309 0.565 0.609
O 0.922 0.562 0.246
Ni 0.754 0.250 0.500
O 0.844 0.277 0.137
O 0.632 0.380 0.023
Ni 0.609 0.095 0.250
Ni 0.357 0.903 0.248
Ni 0.360 0.401 0.247
Sm 0.684 0.934 0.880
La 0.190 0.437 0.887
O 0.885 0.886 0.517
O 0.881 0.761 0.156
Ni 0.361 0.902 0.748
Ni 0.108 0.600 0.751
O 0.336 0.280 0.637
Sm 0.685 0.434 0.889
O 0.694 0.218 0.365
O 0.973 0.873 0.845
La 0.698 0.937 0.389
O 0.181 0.933 0.754
Ni 0.110 0.096 0.751
Ni 0.109 0.600 0.250
O 0.828 0.777 0.633
Ni 0.005 0.000 0.500
La 0.197 0.436 0.390
O 0.727 0.735 0.844
O 0.424 0.065 0.246
O 0.868 0.613 0.481
La 0.805 0.564 0.611
O 0.367 0.613 0.987
O 0.943 0.895 0.363
Sm 0.943 0.707 0.886
La 0.306 0.061 0.608
Sm 0.541 0.794 0.113
Ni 0.856 0.400 0.248
O 0.084 0.107 0.639
O 0.426 0.565 0.246
O 0.173 0.932 0.247
Sm 0.794 0.560 0.114
Sm 0.555 0.793 0.606
O 0.117 0.123 0.976
O 0.945 0.392 0.361
Sm 0.058 0.792 0.114
La 0.054 0.798 0.610
Ag 0.000 0.004 0.003
Ni 0.255 0.250 0.500
Ni 0.858 0.900 0.247
O 0.340 0.781 0.635
La 0.443 0.205 0.890
Ni 0.256 0.252 0.001
Ni 0.255 0.751 0.500
Ni 0.612 0.600 0.750
La 0.194 0.937 0.388
O 0.381 0.888 0.030
O 0.136 0.632 0.157
O 0.140 0.881 0.029
O 0.446 0.392 0.361
O 0.635 0.382 0.517
O 0.695 0.720 0.362
O 0.616 0.122 0.980
O 0.673 0.434 0.755
O 0.083 0.611 0.639
O 0.869 0.115 0.483
O 0.925 0.061 0.748
O 0.428 0.565 0.749
La 0.557 0.297 0.610
O 0.443 0.892 0.361
Ni 0.505 0.500 0.499
Ni 0.855 0.899 0.747
O 0.190 0.723 0.365
O 0.624 0.139 0.157
O 0.608 0.603 0.973
O 0.119 0.119 0.484
O 0.192 0.218 0.365
O 0.927 0.569 0.753
O 0.670 0.931 0.746
O 0.828 0.282 0.635
Ni 0.608 0.598 0.249
O 0.202 0.224 0.862
O 0.671 0.928 0.247
O 0.637 0.888 0.042
O 0.368 0.112 0.482
La 0.805 0.064 0.609
O 0.618 0.117 0.481
O 0.694 0.224 0.861
Ni 0.107 0.096 0.250
La 0.447 0.203 0.390
O 0.873 0.394 0.025
Sm 0.309 0.565 0.113
O 0.921 0.066 0.245
O 0.130 0.138 0.158
O 0.617 0.620 0.482
Sm 0.794 0.070 0.113

Results
* raw total energy: -6.3442 eV/atom
* spin magnetization: 0.005 μB per atom
* ΔH_f (0 K): -2.190 eV/atom

Computed, not measured: LiV2O3F3 after structural relaxation at the GGA+U level of DFT.

abc: 5.091 5.126 13.528
angles: 87.97 87.30 62.01
Sites, in units of the cell vectors:
V 0.025 0.974 0.492
Li 0.967 0.029 0.214
O 0.595 0.400 0.250
V 0.321 0.358 0.335
V 0.040 0.968 0.002
O 0.437 0.589 0.751
F 0.036 0.674 0.911
O 0.608 0.001 0.753
F 0.008 0.394 0.750
V 0.369 0.295 0.824
Li 0.644 0.680 0.882
F 0.350 0.014 0.247
F 0.319 0.977 0.586
O 0.262 0.065 0.914
F 0.669 0.069 0.417
O 0.265 0.679 0.422
Li 0.313 0.360 0.552
O 0.931 0.729 0.584
O 0.097 0.265 0.418
F 0.654 0.294 0.922
F 0.984 0.645 0.254
F 0.941 0.319 0.088
F 0.705 0.336 0.576
V 0.641 0.682 0.161
O 0.313 0.739 0.084
O 0.742 0.907 0.089
V 0.666 0.678 0.667

Results
* raw total energy: -6.4781 eV/atom
* spin magnetization: 0.222 μB per atom
* ΔE to the lowest computed polymorph: 0.009 eV per atom
* ΔH_f (0 K): -2.721 eV/atom

Computed, not measured: Fe38O39 after structural relaxation at the GGA+U level of DFT.

abc: 40.343 24.613 10.259
angles: 24.15 40.90 19.05
Sites, in units of the cell vectors:
O 0.159 0.153 0.513
Fe 0.774 0.327 0.994
O 0.376 0.518 0.483
O 0.154 0.502 0.480
Fe 0.463 0.665 0.997
Fe 0.844 0.008 0.991
Fe 0.234 0.994 0.006
Fe 0.310 0.992 0.006
Fe 0.077 0.334 0.001
Fe 0.308 0.331 0.004
O 0.233 0.170 0.490
O 0.237 0.817 0.521
O 0.069 0.513 0.493
O 0.931 0.487 0.507
Fe 0.692 0.669 0.996
Fe 0.305 0.675 0.990
Fe 0.923 0.666 0.999
O 0.617 0.166 0.494
Fe 0.458 0.338 0.000
Fe 0.149 0.678 0.998
O 0.544 0.821 0.505
O 0.312 0.834 0.488
O 0.308 0.169 0.505
O 0.688 0.166 0.512
O 0.749 0.549 0.451
O 0.940 0.129 0.536
Fe 0.614 0.336 0.997
Fe 0.226 0.673 0.006
Fe 0.468 0.986 0.014
Fe 0.000 0.662 0.014
Fe 0.613 0.671 0.000
O 0.383 0.834 0.506
Fe 0.532 0.014 0.986
Fe 0.851 0.322 0.002
Fe 0.922 0.337 0.993
Fe 0.542 0.662 0.000
O 0.158 0.810 0.540
Fe 0.766 0.006 0.994
O 0.841 0.847 0.487
O 0.925 0.827 0.514
Fe 0.148 0.356 0.969
O 0.373 0.198 0.459
O 0.461 0.496 0.504
Fe 0.156 0.992 0.009
Fe 0.375 0.024 0.976
O 0.627 0.802 0.541
O 0.767 0.830 0.510
O 0.545 0.143 0.530
Fe 0.225 0.353 0.966
Fe 0.690 0.008 0.994
O 0.301 0.512 0.491
O 0.995 0.836 0.524
Fe 0.775 0.647 0.034
Fe 0.386 0.664 0.003
Fe 0.537 0.335 0.003
O 0.699 0.488 0.509
O 0.456 0.179 0.495
Fe 0.078 0.663 0.007
O 0.624 0.482 0.517
Fe 0.079 0.992 0.005
Fe 0.000 0.338 0.986
O 0.763 0.183 0.479
O 0.075 0.173 0.486
O 0.060 0.871 0.464
Fe 0.695 0.325 0.010
O 0.251 0.451 0.549
O 0.842 0.190 0.460
O 0.539 0.504 0.496
Fe 0.852 0.644 0.031
O 0.846 0.498 0.520
O 0.692 0.831 0.495
O 0.000 0.500 0.500
O 0.455 0.857 0.470
Fe 0.387 0.329 0.000
Fe 0.921 0.008 0.995
O 0.005 0.164 0.476
Fe 0.625 0.976 0.024

Results
* raw total energy: -6.6501 eV/atom
* spin magnetization: 2.000 μB per atom
* ΔH_f (0 K): -1.425 eV/atom

Computed, not measured: FeOF after structural relaxation at the GGA+U level of DFT.

abc: 6.210 9.478 9.480
angles: 89.63 89.70 89.89
Sites, in units of the cell vectors:
Fe 0.484 0.240 0.260
O 0.996 0.404 0.096
F 0.496 0.597 0.903
O 0.747 0.847 0.846
O 0.748 0.653 0.653
O 0.252 0.347 0.347
Fe 0.001 0.749 0.248
F 0.253 0.653 0.653
Fe 0.233 0.482 0.984
F 0.995 0.095 0.404
O 0.744 0.161 0.662
Fe 0.774 0.989 0.989
O 0.000 0.899 0.099
F 0.500 0.905 0.095
O 0.256 0.839 0.338
F 0.501 0.595 0.405
F 0.500 0.095 0.905
Fe 0.767 0.518 0.016
Fe 0.226 0.490 0.490
O 0.999 0.401 0.601
O 0.004 0.596 0.904
O 0.260 0.340 0.840
O 0.505 0.097 0.404
Fe 0.999 0.251 0.752
O 0.000 0.101 0.901
Fe 0.501 0.750 0.250
O 0.740 0.660 0.160
Fe 0.226 0.011 0.011
Fe 0.982 0.739 0.759
F 0.252 0.847 0.847
O 0.253 0.153 0.154
F 0.749 0.853 0.354
F 0.504 0.403 0.097
O 0.495 0.903 0.596
F 0.251 0.147 0.646
F 0.005 0.905 0.596
O 0.001 0.599 0.399
F 0.748 0.153 0.153
F 0.747 0.347 0.347
Fe 0.731 0.016 0.520
F 0.499 0.405 0.595
F 0.737 0.355 0.854
Fe 0.269 0.984 0.480
Fe 0.018 0.261 0.241
Fe 0.516 0.760 0.740
F 0.263 0.645 0.146
Fe 0.499 0.250 0.750
Fe 0.774 0.510 0.510

Results
* raw total energy: -6.0076 eV/atom
* spin magnetization: 1.667 μB per atom
* ΔH_f (0 K): -2.032 eV/atom

Computed, not measured: La9Mn10O30 after structural relaxation at the GGA+U level of DFT.

abc: 11.042 27.623 18.225
angles: 25.50 41.63 60.71
Sites, in units of the cell vectors:
La 0.514 0.757 0.231
La 0.501 0.643 0.763
Mn 0.001 0.900 0.502
O 0.787 0.340 0.743
Mn 0.004 0.301 0.497
O 0.562 0.174 0.689
Mn 0.001 0.200 0.000
O 0.068 0.377 0.683
O 0.716 0.220 0.800
O 0.432 0.823 0.317
O 0.950 0.232 0.300
O 0.706 0.652 0.279
O 0.741 0.638 0.770
O 0.221 0.213 0.813
O 0.224 0.612 0.811
La 0.994 0.144 0.264
La 0.990 0.646 0.758
O 0.437 0.433 0.311
O 0.016 0.160 0.733
O 0.224 0.265 0.244
O 0.561 0.378 0.688
La 0.001 0.248 0.748
La 0.999 0.557 0.237
O 0.215 0.012 0.814
O 0.562 0.575 0.687
O 0.282 0.790 0.182
Mn 0.003 0.002 0.996
O 0.759 0.562 0.230
O 0.055 0.980 0.693
O 0.274 0.336 0.758
La 0.997 0.946 0.257
Mn 0.496 0.899 0.503
O 0.218 0.410 0.818
Mn 0.498 0.597 0.005
La 0.000 0.350 0.250
O 0.784 0.792 0.184
Mn 0.497 0.198 0.004
Mn 0.499 0.300 0.498
Mn 0.504 0.503 0.495
Mn 0.499 0.102 0.498
O 0.265 0.383 0.195
O 0.938 0.026 0.311
O 0.550 0.968 0.700
O 0.721 0.062 0.250
O 0.944 0.428 0.304
La 0.012 0.058 0.737
O 0.725 0.463 0.244
O 0.286 0.735 0.751
O 0.290 0.544 0.736
La 0.499 0.952 0.252
Mn 0.501 0.399 0.002
O 0.798 0.387 0.185
Mn 0.996 0.697 0.505
Mn 0.998 0.401 0.000
O 0.775 0.737 0.756
Mn 0.001 0.098 0.502
O 0.276 0.935 0.756
La 0.506 0.056 0.736
O 0.762 0.949 0.744
O 0.285 0.188 0.186
O 0.214 0.465 0.249
O 0.235 0.817 0.805
O 0.073 0.578 0.677
La 0.499 0.451 0.749
O 0.427 0.622 0.323
O 0.794 0.548 0.721
O 0.279 0.987 0.187
O 0.484 0.040 0.267
O 0.784 0.980 0.200
La 0.488 0.142 0.263
Mn 0.502 0.799 0.000
Mn 0.500 0.702 0.498
La 0.510 0.554 0.242
La 0.986 0.443 0.769
O 0.238 0.078 0.213
O 0.226 0.864 0.242
O 0.713 0.860 0.257
O 0.556 0.772 0.696
O 0.939 0.822 0.312
La 0.503 0.254 0.743
O 0.779 0.138 0.750
O 0.724 0.017 0.806
O 0.702 0.813 0.815
Mn 0.002 0.603 0.995
Mn 0.000 0.498 0.502
La 0.001 0.749 0.251
O 0.262 0.122 0.787
La 0.500 0.850 0.750
O 0.738 0.251 0.256
O 0.276 0.588 0.189
O 0.938 0.625 0.313
Mn 0.999 0.801 0.998
O 0.776 0.183 0.194
O 0.210 0.656 0.264
O 0.716 0.408 0.816
O 0.445 0.220 0.307
O 0.063 0.767 0.689
Mn 0.499 0.000 0.000

Results
* raw total energy: -7.9357 eV/atom
* spin magnetization: 0.755 μB per atom
* ΔE to the lowest computed polymorph: 0.002 eV per atom
* ΔH_f (0 K): -2.891 eV/atom

Computed, not measured: Mg3CoO4 after structural relaxation at the GGA+U level of DFT.

abc: 4.253 4.253 4.253
angles: 90.00 90.00 90.00
Sites, in units of the cell vectors:
Co 0.000 0.000 0.000
O 0.500 0.500 0.500
O 0.000 0.000 0.500
O 0.500 0.000 0.000
Mg 0.500 0.000 0.500
O 0.000 0.500 0.000
Mg 0.000 0.500 0.500
Mg 0.500 0.500 0.000

Results
* raw total energy: -5.9072 eV/atom
* spin magnetization: 0.364 μB per atom
* ΔH_f (0 K): -2.493 eV/atom